# 1
{
  "formula": "LiVSiO4",
  "functional": "GGA+U",
  "state": "optimized geometry",
  "cell": [[0.000, 0.000, 5.099], [10.499, 0.001, 0.000], [0.001, 6.852, 0.000]],
  "species": ["O", "O", "O", "O", "O", "O", "O", "Li", "O", "O", "V", "O", "O", "Si", "V", "V", "O", "O", "Si", "V", "Si", "Si", "Li", "O", "O", "O", "Li", "Li"],
  "fractional_positions": [[0.568, 0.877, 0.232], [0.690, 0.441, 0.736], [0.631, 0.160, 0.561], [0.117, 0.332, 0.450], [0.617, 0.168, 0.950], [0.631, 0.660, 0.939], [0.117, 0.832, 0.050], [0.744, 0.350, 0.004], [0.068, 0.623, 0.732], [0.190, 0.559, 0.264], [0.246, 0.667, 0.490], [0.131, 0.840, 0.439], [0.068, 0.123, 0.768], [0.750, 0.595, 0.739], [0.746, 0.833, 0.990], [0.246, 0.167, 0.010], [0.189, 0.059, 0.236], [0.689, 0.941, 0.764], [0.250, 0.905, 0.239], [0.746, 0.333, 0.510], [0.250, 0.405, 0.261], [0.750, 0.095, 0.761], [0.744, 0.851, 0.496], [0.568, 0.377, 0.268], [0.617, 0.668, 0.550], [0.131, 0.340, 0.061], [0.244, 0.149, 0.504], [0.244, 0.650, 0.996]],
  "sg": "Pna2_1 (33)",
  "de_polymorph_ev_per_atom": 0.071,
  "magnetic_moment_mub_per_fu": 0.00,
  "final_energy_ev_per_atom": -7.306,
  "ef_mev_per_atom": -2768,
  "volume_a3_per_atom": 13.1
}



# 2
{
  "formula": "Mn7Fe3O20",
  "functional": "GGA+U",
  "state": "optimized geometry",
  "cell": [[3.151, -4.733, 1.517], [5.778, -0.234, -1.089], [7.354, 8.285, 21.715]],
  "species": ["Fe", "Mn", "Fe", "Mn", "O", "Fe", "Mn", "O", "Fe", "O", "O", "O", "O", "O", "Mn", "O", "Mn", "O", "O", "O", "Mn", "Mn", "O", "O", "O", "O", "O", "Mn", "O", "O", "O", "O", "O", "O", "Mn", "Fe", "Mn", "O", "O", "O", "O", "Mn", "O", "O", "O", "Mn", "O", "O", "Fe", "O", "O", "O", "O", "Mn", "O", "O", "O", "O", "Mn", "O"],
  "fractional_positions": [[0.898, 0.898, 0.300], [0.301, 0.301, 0.100], [0.500, 0.500, 0.500], [0.000, 0.500, 0.500], [0.437, 0.990, 0.653], [0.500, 0.500, 0.000], [0.803, 0.298, 0.100], [0.628, 0.189, 0.054], [0.098, 0.098, 0.200], [0.570, 0.570, 0.347], [0.220, 0.764, 0.746], [0.613, 0.165, 0.548], [0.189, 0.628, 0.054], [0.027, 0.589, 0.855], [0.900, 0.396, 0.300], [0.174, 0.174, 0.547], [0.297, 0.297, 0.600], [0.010, 0.563, 0.347], [0.165, 0.613, 0.548], [0.589, 0.027, 0.855], [0.703, 0.703, 0.400], [0.197, 0.702, 0.900], [0.741, 0.741, 0.259], [0.835, 0.387, 0.452], [0.659, 0.659, 0.541], [0.945, 0.945, 0.659], [0.228, 0.228, 0.254], [0.298, 0.803, 0.100], [0.764, 0.220, 0.746], [0.780, 0.236, 0.254], [0.411, 0.973, 0.145], [0.563, 0.010, 0.347], [0.236, 0.780, 0.254], [0.372, 0.811, 0.946], [0.100, 0.604, 0.700], [0.102, 0.102, 0.700], [0.702, 0.197, 0.900], [0.145, 0.145, 0.059], [0.030, 0.030, 0.855], [0.369, 0.369, 0.945], [0.631, 0.631, 0.055], [0.699, 0.699, 0.900], [0.855, 0.855, 0.941], [0.547, 0.547, 0.860], [0.811, 0.372, 0.946], [0.604, 0.100, 0.700], [0.826, 0.826, 0.453], [0.453, 0.453, 0.140], [0.902, 0.902, 0.800], [0.055, 0.055, 0.341], [0.970, 0.970, 0.145], [0.973, 0.411, 0.145], [0.387, 0.835, 0.452], [0.396, 0.900, 0.300], [0.990, 0.437, 0.653], [0.430, 0.430, 0.653], [0.259, 0.259, 0.741], [0.772, 0.772, 0.746], [0.500, 0.000, 0.500], [0.341, 0.341, 0.459]],
  "sg": "C2/m (12)",
  "de_polymorph_ev_per_atom": 0.000,
  "magnetic_moment_mub_per_fu": 33.00,
  "final_energy_ev_per_atom": -6.791,
  "ef_mev_per_atom": -1580,
  "volume_a3_per_atom": 12.0
}



# 3
{
  "formula": "SrFeAsF",
  "functional": "GGA+U",
  "state": "optimized geometry",
  "cell": [[-0.247, 1.698, 3.787], [-4.056, 0.703, -0.579], [-1.976, -8.407, 3.640]],
  "species": ["As", "Sr", "As", "Fe", "F", "Sr", "F", "Fe"],
  "fractional_positions": [[0.500, 0.000, 0.673], [0.000, 0.500, 0.851], [0.000, 0.500, 0.327], [0.500, 0.500, 0.500], [0.000, 0.000, 0.000], [0.500, 0.000, 0.149], [0.500, 0.500, 0.000], [0.000, 0.000, 0.500]],
  "sg": "P4/nmm (129)",
  "magnetic_moment_mub_per_fu": 3.93,
  "final_energy_ev_per_atom": -5.186,
  "ef_mev_per_atom": -1682,
  "volume_a3_per_atom": 20.2
}